# 1
Material: Li4V3P8O29
Method: DFT, PBE with a Hubbard U
State: optimized geometry

Cell lengths 9.770, 9.808, 14.284 Å; angles 89.48, 89.50, 60.17 degrees
Sites, in units of the cell vectors:
Li (0.683, 0.091, 0.444)
Li (0.101, 0.669, 0.950)
Li (0.233, 0.096, 0.942)
Li (0.921, 0.779, 0.558)
Li (0.086, 0.226, 0.436)
Li (0.766, 0.908, 0.061)
Li (0.311, 0.911, 0.553)
Li (0.979, 0.060, 0.007)
V (0.004, 0.560, 0.750)
V (0.992, 0.437, 0.248)
V (0.566, 0.002, 0.249)
V (0.434, 0.998, 0.752)
V (0.564, 0.434, 0.752)
V (0.437, 0.564, 0.247)
P (0.695, 0.224, 0.157)
P (0.682, 0.090, 0.665)
P (0.231, 0.686, 0.658)
P (0.329, 0.336, 0.869)
P (0.331, 0.333, 0.367)
P (0.089, 0.686, 0.164)
P (0.910, 0.769, 0.344)
P (0.223, 0.091, 0.158)
P (0.777, 0.906, 0.843)
P (0.090, 0.230, 0.654)
P (0.914, 0.306, 0.834)
P (0.667, 0.666, 0.634)
P (0.668, 0.668, 0.130)
P (0.771, 0.312, 0.341)
P (0.319, 0.907, 0.335)
P (0.307, 0.772, 0.842)
O (0.766, 0.227, 0.426)
O (0.658, 0.257, 0.669)
O (0.795, 0.973, 0.933)
O (0.658, 0.087, 0.164)
O (0.541, 0.384, 0.168)
O (0.478, 0.332, 0.823)
O (0.383, 0.527, 0.677)
O (0.209, 0.782, 0.925)
O (0.259, 0.656, 0.166)
O (0.483, 0.182, 0.330)
O (0.521, 0.098, 0.683)
O (0.341, 0.474, 0.317)
O (0.314, 0.361, 0.973)
O (0.329, 0.338, 0.471)
O (0.184, 0.489, 0.823)
O (0.380, 0.088, 0.167)
O (0.322, 0.189, 0.837)
O (0.085, 0.660, 0.661)
O (0.003, 0.790, 0.255)
O (0.992, 0.757, 0.433)
O (0.003, 0.771, 0.076)
O (0.089, 0.528, 0.176)
O (0.180, 0.336, 0.328)
O (0.922, 0.736, 0.833)
O (0.102, 0.378, 0.680)
O (0.255, 0.080, 0.662)
O (0.795, 0.998, 0.753)
O (0.756, 0.004, 0.576)
O (0.243, 0.995, 0.424)
O (0.744, 0.918, 0.339)
O (0.900, 0.620, 0.321)
O (0.082, 0.261, 0.174)
O (0.819, 0.663, 0.678)
O (0.919, 0.462, 0.826)
O (0.006, 0.204, 0.915)
O (0.014, 0.246, 0.562)
O (0.988, 0.214, 0.738)
O (0.914, 0.340, 0.339)
O (0.676, 0.814, 0.166)
O (0.622, 0.906, 0.831)
O (0.814, 0.518, 0.177)
O (0.677, 0.656, 0.026)
O (0.677, 0.664, 0.531)
O (0.662, 0.523, 0.681)
O (0.479, 0.901, 0.318)
O (0.516, 0.816, 0.671)
O (0.741, 0.343, 0.833)
O (0.796, 0.207, 0.250)
O (0.794, 0.203, 0.073)
O (0.618, 0.471, 0.322)
O (0.521, 0.668, 0.176)
O (0.464, 0.615, 0.829)
O (0.340, 0.913, 0.838)
O (0.197, 0.029, 0.068)
O (0.207, 0.997, 0.247)
O (0.344, 0.739, 0.332)
O (0.235, 0.770, 0.572)
O (0.207, 0.793, 0.748)

Results
- SG: No. 1
- Raw total energy: -7.044 eV per atom
- Spin magnetization: 0.02 μB per atom
- Formation energy: -2.574 eV per atom

# 2
Material: LaZnCrMoO6
Method: DFT, PBE with a Hubbard U
State: optimized geometry

Cell lengths 5.573, 5.429, 9.642 Å; angles 55.94, 90.00, 90.00 degrees
Sites, in units of the cell vectors:
La (0.290, 0.756, 0.250)
La (0.710, 0.756, 0.750)
Zn (0.750, 0.249, 0.247)
Zn (0.250, 0.249, 0.747)
Cr (0.245, 0.000, 0.499)
Cr (0.755, 0.000, 0.999)
Mo (0.237, 0.497, 0.001)
Mo (0.763, 0.497, 0.501)
O (0.802, 0.334, 0.756)
O (0.033, 0.148, 0.061)
O (0.046, 0.760, 0.447)
O (0.556, 0.256, 0.057)
O (0.558, 0.877, 0.436)
O (0.282, 0.623, 0.745)
O (0.198, 0.334, 0.256)
O (0.967, 0.148, 0.561)
O (0.954, 0.760, 0.947)
O (0.444, 0.256, 0.557)
O (0.442, 0.877, 0.936)
O (0.718, 0.623, 0.245)

Results
- SG: No. 7
- Raw total energy: -7.158 eV per atom
- Spin magnetization: 0.50 μB per atom
- Formation energy: -2.452 eV per atom

# 3
Material: MgMnV4O12
Method: DFT, PBE with a Hubbard U
State: optimized geometry

Cell lengths 5.451, 10.616, 9.502 Å; angles 28.44, 50.52, 56.11 degrees
Sites, in units of the cell vectors:
Mg (0.187, 0.486, 0.206)
Mn (0.296, 0.015, 0.278)
V (0.047, 0.017, 0.956)
V (0.943, 0.496, 0.020)
V (0.524, 0.982, 0.497)
V (0.487, 0.509, 0.501)
O (0.317, 0.285, 0.150)
O (0.251, 0.111, 0.613)
O (0.138, 0.308, 0.718)
O (0.891, 0.177, 0.230)
O (0.316, 0.806, 0.130)
O (0.732, 0.396, 0.340)
O (0.231, 0.654, 0.579)
O (0.595, 0.214, 0.832)
O (0.137, 0.768, 0.770)
O (0.837, 0.693, 0.226)
O (0.701, 0.915, 0.316)
O (0.617, 0.667, 0.876)

Results
- SG: No. 1
- Raw total energy: -7.279 eV per atom
- Spin magnetization: 0.28 μB per atom
- Formation energy: -2.292 eV per atom

# 4
Material: Li9Mn2Co5O16
Method: DFT, PBE with a Hubbard U
State: optimized geometry

Cell lengths 9.909, 9.909, 10.328 Å; angles 83.60, 83.60, 16.69 degrees
Sites, in units of the cell vectors:
Li (0.381, 0.381, 0.933)
Li (0.119, 0.119, 0.807)
Li (0.877, 0.877, 0.680)
Li (0.617, 0.617, 0.551)
Li (0.383, 0.383, 0.438)
Li (0.124, 0.124, 0.322)
Li (0.878, 0.878, 0.201)
Li (0.621, 0.621, 0.069)
Li (0.000, 0.000, 0.499)
Mn (0.000, 0.000, 0.000)
Mn (0.749, 0.749, 0.876)
Co (0.496, 0.496, 0.729)
Co (0.248, 0.248, 0.622)
Co (0.751, 0.751, 0.375)
Co (0.504, 0.504, 0.270)
Co (0.251, 0.251, 0.128)
O (0.444, 0.444, 0.082)
O (0.193, 0.193, 0.953)
O (0.946, 0.946, 0.852)
O (0.699, 0.699, 0.722)
O (0.437, 0.437, 0.606)
O (0.191, 0.191, 0.465)
O (0.942, 0.942, 0.336)
O (0.696, 0.696, 0.209)
O (0.307, 0.307, 0.798)
O (0.059, 0.059, 0.665)
O (0.804, 0.804, 0.541)
O (0.562, 0.562, 0.394)
O (0.310, 0.310, 0.283)
O (0.054, 0.054, 0.148)
O (0.801, 0.801, 0.029)
O (0.556, 0.556, 0.918)

Results
- SG: No. 8
- Raw total energy: -5.799 eV per atom
- Spin magnetization: 0.44 μB per atom
- Formation energy: -1.808 eV per atom

# 5
Material: Li2V2P3O12
Method: DFT, PBE with a Hubbard U
State: optimized geometry

Cell lengths 8.303, 8.453, 8.946 Å; angles 91.19, 117.27, 119.21 degrees
Sites, in units of the cell vectors:
Li (0.058, 0.732, 0.143)
Li (0.813, 0.075, 0.140)
Li (0.187, 0.925, 0.860)
Li (0.942, 0.268, 0.857)
V (0.699, 0.353, 0.056)
V (0.292, 0.153, 0.436)
V (0.708, 0.847, 0.564)
V (0.301, 0.647, 0.944)
P (0.789, 0.753, 0.253)
P (0.499, 0.034, 0.253)
P (0.213, 0.459, 0.244)
P (0.787, 0.541, 0.756)
P (0.501, 0.966, 0.747)
P (0.211, 0.247, 0.747)
O (0.716, 0.545, 0.206)
O (0.010, 0.889, 0.269)
O (0.817, 0.810, 0.434)
O (0.300, 0.848, 0.091)
O (0.390, 0.124, 0.290)
O (0.660, 0.167, 0.202)
O (0.031, 0.493, 0.204)
O (0.236, 0.457, 0.082)
O (0.626, 0.795, 0.114)
O (0.573, 0.388, 0.587)
O (0.862, 0.743, 0.734)
O (0.382, 0.009, 0.582)
O (0.618, 0.991, 0.418)
O (0.138, 0.257, 0.266)
O (0.427, 0.612, 0.413)
O (0.374, 0.205, 0.886)
O (0.764, 0.543, 0.918)
O (0.969, 0.507, 0.796)
O (0.340, 0.833, 0.798)
O (0.610, 0.876, 0.710)
O (0.700, 0.152, 0.909)
O (0.183, 0.190, 0.566)
O (0.990, 0.111, 0.731)
O (0.284, 0.455, 0.794)

Results
- SG: No. 2
- Raw total energy: -7.217 eV per atom
- Spin magnetization: 0.16 μB per atom
- Formation energy: -2.693 eV per atom

# 6
Material: Ca3Mn2O7
Method: DFT, PBE with a Hubbard U
State: optimized geometry

Cell lengths 5.361, 5.322, 10.102 Å; angles 74.73, 90.00, 90.00 degrees
Sites, in units of the cell vectors:
Ca (0.293, 0.756, 0.000)
Ca (0.793, 0.244, 0.000)
Ca (0.212, 0.569, 0.374)
Ca (0.712, 0.057, 0.374)
Ca (0.712, 0.431, 0.626)
Ca (0.212, 0.943, 0.626)
Mn (0.250, 0.153, 0.196)
Mn (0.750, 0.651, 0.196)
Mn (0.750, 0.847, 0.804)
Mn (0.250, 0.349, 0.804)
O (0.236, 0.318, 0.000)
O (0.736, 0.682, 0.000)
O (0.043, 0.040, 0.832)
O (0.543, 0.128, 0.832)
O (0.543, 0.960, 0.168)
O (0.043, 0.872, 0.168)
O (0.959, 0.568, 0.778)
O (0.459, 0.655, 0.778)
O (0.459, 0.432, 0.222)
O (0.959, 0.345, 0.222)
O (0.261, 0.395, 0.608)
O (0.761, 0.997, 0.608)
O (0.761, 0.605, 0.392)
O (0.261, 0.003, 0.392)

Results
- SG: No. 36
- Raw total energy: -6.883 eV per atom
- Formation energy: -2.647 eV per atom

What did the third record say?
Material: MgMnV4O12
Method: DFT, PBE with a Hubbard U
State: optimized geometry

Cell lengths 5.451, 10.616, 9.502 Å; angles 28.44, 50.52, 56.11 degrees
Sites, in units of the cell vectors:
Mg (0.187, 0.486, 0.206)
Mn (0.296, 0.015, 0.278)
V (0.047, 0.017, 0.956)
V (0.943, 0.496, 0.020)
V (0.524, 0.982, 0.497)
V (0.487, 0.509, 0.501)
O (0.317, 0.285, 0.150)
O (0.251, 0.111, 0.613)
O (0.138, 0.308, 0.718)
O (0.891, 0.177, 0.230)
O (0.316, 0.806, 0.130)
O (0.732, 0.396, 0.340)
O (0.231, 0.654, 0.579)
O (0.595, 0.214, 0.832)
O (0.137, 0.768, 0.770)
O (0.837, 0.693, 0.226)
O (0.701, 0.915, 0.316)
O (0.617, 0.667, 0.876)

Results
- SG: No. 1
- Raw total energy: -7.279 eV per atom
- Spin magnetization: 0.28 μB per atom
- Formation energy: -2.292 eV per atom